This record from the Materials Project describes a geometry-optimized K3LiIrO4 structure. The functional is PBE.

Lattice parameters (Å, degrees): 7.3195 7.3195 5.9923 100.34 100.34 84.54
Element x y z (fractional)
K 0.0948 0.9052 0.7500
K 0.2563 0.4343 0.5261
K 0.4343 0.2563 0.0261
K 0.5657 0.7437 0.9739
K 0.7437 0.5657 0.4739
K 0.9052 0.0948 0.2500
Li 0.2318 0.7682 0.2500
Li 0.7682 0.2318 0.7500
Ir 0.0000 0.5000 0.0000
Ir 0.5000 0.0000 0.5000
O 0.0195 0.2963 0.7463
O 0.2349 0.5868 0.9699
O 0.2963 0.0195 0.2463
O 0.4132 0.7651 0.5301
O 0.5868 0.2349 0.4699
O 0.7037 0.9805 0.7537
O 0.7651 0.4132 0.0301
O 0.9805 0.7037 0.2537

Output
ΔH_f (0 K) (eV per atom): -1.653
Magnetic moment (μB per formula unit): 3.0
Symmetry: C2/c
Final energy (eV/f.u.): -46.0

This record from the Materials Project describes a geometry-optimized SnBr4 structure. The functional is PBE.

Lattice parameters (Å, degrees): 11.4139 7.6249 11.4609 90.00 102.92 90.00
Element x y z (fractional)
Sn 0.2498 0.0775 0.1327
Sn 0.2498 0.4225 0.6327
Sn 0.7502 0.5775 0.3673
Sn 0.7502 0.9225 0.8673
Br 0.0818 0.5786 0.6929
Br 0.0818 0.9214 0.1929
Br 0.1892 0.1161 0.5767
Br 0.1892 0.3839 0.0767
Br 0.3017 0.5757 0.4603
Br 0.3017 0.9243 0.9603
Br 0.4267 0.0774 0.3040
Br 0.4267 0.4226 0.8040
Br 0.5733 0.5774 0.1960
Br 0.5733 0.9226 0.6960
Br 0.6983 0.0757 0.0397
Br 0.6983 0.4243 0.5397
Br 0.8108 0.6161 0.9233
Br 0.8108 0.8839 0.4233
Br 0.9182 0.0786 0.8071
Br 0.9182 0.4214 0.3071

Output
ΔH_f (0 K) (eV per atom): -1.117
Symmetry: P2_1/c
Final energy (eV/f.u.): -14.0

This record from the Materials Project describes a geometry-optimized Ba2LiTmCu3O7 structure. The functional is PBE.

Lattice parameters (Å, degrees): 3.7680 4.0376 12.8491 90.00 90.00 90.00
Element x y z (fractional)
Ba 0.0000 0.0000 0.0000
Ba 0.0000 0.0000 0.3121
Li 0.0000 0.5000 0.4661
Tm 0.0000 0.0000 0.7128
Cu 0.5000 0.5000 0.1774
Cu 0.5000 0.5000 0.6039
Cu 0.5000 0.5000 0.8425
O 0.0000 0.5000 0.6079
O 0.0000 0.5000 0.8191
O 0.5000 0.0000 0.1751
O 0.5000 0.0000 0.6072
O 0.5000 0.0000 0.8270
O 0.5000 0.5000 0.0316
O 0.5000 0.5000 0.3442

Output
ΔH_f (0 K) (eV per atom): -2.052
Excess energy over the best structure of this formula in the dataset (eV/atom): 0.061
Magnetic moment (μB per formula unit): 0.0
Symmetry: Pmm2
Final energy (eV/f.u.): -81.1

This record from the Materials Project describes a geometry-optimized Na12Nb4Zn2Si9O36 structure. The functional is PBE.

Lattice parameters (Å, degrees): 9.1735 9.1735 22.4281 90.00 90.00 120.00
Element x y z (fractional)
Na 0.0000 0.0000 0.0760
Na 0.0000 0.0000 0.5760
Na 0.0561 0.3538 0.1621
Na 0.0561 0.7023 0.6621
Na 0.2977 0.3538 0.6621
Na 0.2977 0.9439 0.1621
Na 0.3095 0.0254 0.5000
Na 0.3095 0.2841 0.0000
Na 0.3333 0.6667 0.2465
Na 0.3333 0.6667 0.7465
Na 0.3589 0.0009 0.8411
Na 0.3589 0.3580 0.3411
Na 0.6420 0.0009 0.3411
Na 0.6420 0.6411 0.8411
Na 0.6462 0.7023 0.1621
Na 0.6462 0.9439 0.6621
Na 0.6667 0.3333 0.4218
Na 0.6667 0.3333 0.9218
Na 0.7159 0.0254 0.0000
Na 0.7159 0.6905 0.5000
Na 0.9746 0.2841 0.5000
Na 0.9746 0.6905 0.0000
Na 0.9991 0.3580 0.8411
Na 0.9991 0.6411 0.3411
Nb 0.0000 0.0000 0.2338
Nb 0.0000 0.0000 0.7338
Nb 0.3333 0.6667 0.4033
Nb 0.3333 0.6667 0.9033
Nb 0.6667 0.3333 0.0652
Nb 0.6667 0.3333 0.2730
Nb 0.6667 0.3333 0.5652
Nb 0.6667 0.3333 0.7730
Zn 0.0000 0.0000 0.4364
Zn 0.0000 0.0000 0.9364
Zn 0.3333 0.6667 0.1020
Zn 0.3333 0.6667 0.6020
Si 0.0001 0.2922 0.3392
Si 0.0001 0.7079 0.8392
Si 0.0413 0.3733 0.0079
Si 0.0413 0.6681 0.5079
Si 0.2921 0.9999 0.3392
Si 0.2921 0.2922 0.8392
Si 0.3319 0.3733 0.5079
Si 0.3319 0.9587 0.0079
Si 0.3732 0.0434 0.6706
Si 0.3732 0.3299 0.1706
Si 0.6267 0.6681 0.0079
Si 0.6267 0.9587 0.5079
Si 0.6701 0.0434 0.1706
Si 0.6701 0.6268 0.6706
Si 0.7078 0.9999 0.8392
Si 0.7078 0.7079 0.3392
Si 0.9566 0.3299 0.6706
Si 0.9566 0.6268 0.1706
O 0.0125 0.1869 0.9996
O 0.0125 0.8255 0.4996
O 0.0297 0.1971 0.2804
O 0.0297 0.8326 0.7804
O 0.1371 0.5004 0.9475
O 0.1371 0.6367 0.4475
O 0.1386 0.4951 0.6719
O 0.1386 0.6434 0.1719
O 0.1520 0.4546 0.0665
O 0.1520 0.6974 0.5665
O 0.1674 0.1971 0.7804
O 0.1674 0.9703 0.2804
O 0.1721 0.4804 0.3422
O 0.1721 0.6917 0.8422
O 0.1745 0.1869 0.4996
O 0.1745 0.9875 0.9996
O 0.1898 0.0365 0.6765
O 0.1898 0.1533 0.1765
O 0.2234 0.0476 0.3969
O 0.2234 0.1757 0.8969
O 0.3026 0.4546 0.5665
O 0.3026 0.8480 0.0665
O 0.3083 0.4804 0.8422
O 0.3083 0.8279 0.3422
O 0.3566 0.4951 0.1719
O 0.3566 0.8614 0.6719
O 0.3633 0.5004 0.4475
O 0.3633 0.8629 0.9475
O 0.4682 0.1689 0.6126
O 0.4682 0.2993 0.1126
O 0.4857 0.1617 0.3289
O 0.4857 0.3240 0.8289
O 0.4916 0.1475 0.7285
O 0.4916 0.3442 0.2285
O 0.4996 0.6367 0.9475
O 0.4996 0.8629 0.4475
O 0.5049 0.6434 0.6719
O 0.5049 0.8614 0.1719
O 0.5138 0.1441 0.0087
O 0.5138 0.3697 0.5087
O 0.5196 0.6917 0.3422
O 0.5196 0.8279 0.8422
O 0.5454 0.6974 0.0665
O 0.5454 0.8480 0.5665
O 0.6303 0.1441 0.5087
O 0.6303 0.4862 0.0087
O 0.6558 0.1475 0.2285
O 0.6558 0.5084 0.7285
O 0.6760 0.1617 0.8289
O 0.6760 0.5143 0.3289
O 0.7007 0.1689 0.1126
O 0.7007 0.5318 0.6126
O 0.8029 0.8326 0.2804
O 0.8029 0.9703 0.7804
O 0.8131 0.8255 0.9996
O 0.8131 0.9875 0.4996
O 0.8243 0.0476 0.8969
O 0.8243 0.7766 0.3969
O 0.8311 0.2993 0.6126
O 0.8311 0.5318 0.1126
O 0.8383 0.3240 0.3289
O 0.8383 0.5143 0.8289
O 0.8467 0.0365 0.1765
O 0.8467 0.8102 0.6765
O 0.8525 0.3442 0.7285
O 0.8525 0.5084 0.2285
O 0.8559 0.3697 0.0087
O 0.8559 0.4862 0.5087
O 0.9524 0.1757 0.3969
O 0.9524 0.7766 0.8969
O 0.9635 0.1533 0.6765
O 0.9635 0.8102 0.1765

Output
ΔH_f (0 K) (eV per atom): -2.770
Magnetic moment (μB per formula unit): 0.0
Symmetry: P3c1
Final energy (eV/f.u.): -435.5

This record from the Materials Project describes a geometry-optimized Ag3Bi8S13 structure. The functional is PBE.

Lattice parameters (Å, degrees): 6.9221 6.9221 21.8441 93.18 93.18 35.07
Element x y z (fractional)
Ag 0.0000 0.0000 0.0000
Ag 0.4182 0.4182 0.6246
Ag 0.5818 0.5818 0.3754
Bi 0.0228 0.0228 0.2135
Bi 0.1405 0.1405 0.5417
Bi 0.2597 0.2597 0.9191
Bi 0.3010 0.3010 0.2962
Bi 0.6990 0.6990 0.7038
Bi 0.7403 0.7403 0.0809
Bi 0.8595 0.8595 0.4583
Bi 0.9772 0.9772 0.7865
S 0.0642 0.0642 0.6582
S 0.0985 0.0985 0.1031
S 0.2226 0.2226 0.4230
S 0.3415 0.3415 0.7351
S 0.3555 0.3555 0.0278
S 0.3845 0.3845 0.1861
S 0.5000 0.5000 0.5000
S 0.6155 0.6155 0.8139
S 0.6445 0.6445 0.9722
S 0.6585 0.6585 0.2649
S 0.7774 0.7774 0.5770
S 0.9015 0.9015 0.8969
S 0.9358 0.9358 0.3418

Output
ΔH_f (0 K) (eV per atom): -0.540
Magnetic moment (μB per formula unit): 0.0
Symmetry: C2/m
Final energy (eV/f.u.): -99.8

This record from the Materials Project describes a geometry-optimized Na6Si2Se7 structure. The functional is PBE.

Lattice parameters (Å, degrees): 7.2401 7.2401 15.9816 99.56 99.56 98.15
Element x y z (fractional)
Na 0.0000 0.0000 0.0000
Na 0.0000 0.0000 0.5000
Na 0.0113 0.4551 0.8579
Na 0.0815 0.9185 0.7500
Na 0.2328 0.5285 0.4286
Na 0.4551 0.0113 0.3579
Na 0.4715 0.7672 0.0714
Na 0.5285 0.2328 0.9286
Na 0.5449 0.9887 0.6421
Na 0.7672 0.4715 0.5714
Na 0.9185 0.0815 0.2500
Na 0.9887 0.5449 0.1421
Si 0.2638 0.4231 0.6408
Si 0.4231 0.2638 0.1408
Si 0.5769 0.7362 0.8592
Si 0.7362 0.5769 0.3592
Se 0.0085 0.2559 0.6789
Se 0.1913 0.7001 0.6062
Se 0.2408 0.3702 0.0328
Se 0.2559 0.0085 0.1789
Se 0.2999 0.8087 0.8938
Se 0.3702 0.2408 0.5328
Se 0.4640 0.5360 0.2500
Se 0.5360 0.4640 0.7500
Se 0.6298 0.7592 0.4672
Se 0.7001 0.1913 0.1062
Se 0.7441 0.9915 0.8211
Se 0.7592 0.6298 0.9672
Se 0.8087 0.2999 0.3938
Se 0.9915 0.7441 0.3211

Output
ΔH_f (0 K) (eV per atom): -1.145
Symmetry: C2/c
Final energy (eV/f.u.): -57.1

This record from the Materials Project describes a geometry-optimized BaCaP2O7 structure. The functional is PBE.

Lattice parameters (Å, degrees): 12.2331 10.7410 9.6625 90.00 94.80 90.00
Element x y z (fractional)
Ba 0.0841 0.0144 0.2235
Ba 0.0841 0.4856 0.7235
Ba 0.3433 0.1928 0.9084
Ba 0.3433 0.3072 0.4084
Ba 0.6567 0.6928 0.5916
Ba 0.6567 0.8072 0.0916
Ba 0.9159 0.5144 0.2765
Ba 0.9159 0.9856 0.7765
Ca 0.2178 0.6529 0.3277
Ca 0.2178 0.8471 0.8277
Ca 0.3479 0.5768 0.9897
Ca 0.3479 0.9232 0.4897
Ca 0.6521 0.0768 0.5103
Ca 0.6521 0.4232 0.0103
Ca 0.7822 0.1529 0.1723
Ca 0.7822 0.3471 0.6723
P 0.0609 0.7286 0.0285
P 0.0609 0.7714 0.5285
P 0.1587 0.1384 0.6131
P 0.1587 0.3616 0.1131
P 0.3435 0.6046 0.6171
P 0.3435 0.8954 0.1171
P 0.4974 0.0919 0.2443
P 0.4974 0.4081 0.7443
P 0.5026 0.5919 0.2557
P 0.5026 0.9081 0.7557
P 0.6565 0.1046 0.8829
P 0.6565 0.3954 0.3829
P 0.8413 0.6384 0.8869
P 0.8413 0.8616 0.3869
P 0.9391 0.2286 0.4715
P 0.9391 0.2714 0.9715
O 0.0302 0.1355 0.5491
O 0.0302 0.3645 0.0491
O 0.0408 0.6372 0.4786
O 0.0408 0.8628 0.9786
O 0.0537 0.7152 0.1851
O 0.0537 0.7848 0.6851
O 0.1596 0.0449 0.7328
O 0.1596 0.4551 0.2328
O 0.1680 0.6776 0.9788
O 0.1680 0.8224 0.4788
O 0.1906 0.2305 0.1622
O 0.1906 0.2695 0.6622
O 0.2248 0.0978 0.4909
O 0.2248 0.4022 0.9909
O 0.2650 0.5180 0.5298
O 0.2650 0.9820 0.0298
O 0.2963 0.6360 0.7556
O 0.2963 0.8640 0.2556
O 0.3774 0.5747 0.2421
O 0.3774 0.9253 0.7421
O 0.3784 0.7142 0.5324
O 0.3784 0.7858 0.0324
O 0.4496 0.2074 0.1723
O 0.4496 0.2926 0.6723
O 0.4542 0.0750 0.3886
O 0.4542 0.4250 0.8886
O 0.4597 0.5304 0.6501
O 0.4597 0.9696 0.1501
O 0.5403 0.0304 0.8499
O 0.5403 0.4696 0.3499
O 0.5458 0.5750 0.1114
O 0.5458 0.9250 0.6114
O 0.5504 0.7074 0.3277
O 0.5504 0.7926 0.8277
O 0.6216 0.2142 0.9676
O 0.6216 0.2858 0.4676
O 0.6226 0.0747 0.2579
O 0.6226 0.4253 0.7579
O 0.7037 0.1360 0.7444
O 0.7037 0.3640 0.2444
O 0.7350 0.0180 0.9702
O 0.7350 0.4820 0.4702
O 0.7752 0.5978 0.0091
O 0.7752 0.9022 0.5091
O 0.8094 0.7305 0.3378
O 0.8094 0.7695 0.8378
O 0.8320 0.1776 0.5212
O 0.8320 0.3224 0.0212
O 0.8404 0.5449 0.7672
O 0.8404 0.9551 0.2672
O 0.9463 0.2152 0.3149
O 0.9463 0.2848 0.8149
O 0.9592 0.1372 0.0214
O 0.9592 0.3628 0.5214
O 0.9698 0.6355 0.9509
O 0.9698 0.8645 0.4509

Output
ΔH_f (0 K) (eV per atom): -3.216
Symmetry: P2_1/c
Final energy (eV/f.u.): -80.0

This record from the Materials Project describes a geometry-optimized CsTe2O6 structure. The functional is PBE.

Lattice parameters (Å, degrees): 7.4597 7.4597 7.4597 60.00 60.00 60.00
Element x y z (fractional)
Cs 0.1250 0.1250 0.1250
Cs 0.8750 0.8750 0.8750
Te 0.0000 0.5000 0.5000
Te 0.5000 0.0000 0.5000
Te 0.5000 0.5000 0.0000
Te 0.5000 0.5000 0.5000
O 0.1817 0.1817 0.5683
O 0.1817 0.5683 0.1817
O 0.1817 0.5683 0.5683
O 0.4317 0.4317 0.8183
O 0.4317 0.8183 0.4317
O 0.4317 0.8183 0.8183
O 0.5683 0.1817 0.1817
O 0.5683 0.1817 0.5683
O 0.5683 0.5683 0.1817
O 0.8183 0.4317 0.4317
O 0.8183 0.4317 0.8183
O 0.8183 0.8183 0.4317

Output
ΔH_f (0 K) (eV per atom): -1.646
Symmetry: Fd-3m
Final energy (eV/f.u.): -47.6

This record from the Materials Project describes a geometry-optimized LiNdS2O8 structure. The functional is PBE.

Lattice parameters (Å, degrees): 7.7068 7.7068 6.1327 90.00 90.00 90.00
Element x y z (fractional)
Li 0.0000 0.5000 0.2500
Li 0.5000 0.0000 0.7500
Nd 0.0000 0.5000 0.7500
Nd 0.5000 0.0000 0.2500
S 0.2209 0.2791 0.2500
S 0.2791 0.7791 0.7500
S 0.7209 0.2209 0.7500
S 0.7791 0.7209 0.2500
O 0.0872 0.3168 0.0747
O 0.1020 0.7954 0.6590
O 0.1832 0.4128 0.4253
O 0.2046 0.1020 0.3410
O 0.2954 0.6020 0.8410
O 0.3168 0.9128 0.9253
O 0.3980 0.2954 0.1590
O 0.4128 0.8168 0.5747
O 0.5872 0.1832 0.5747
O 0.6020 0.7046 0.1590
O 0.6832 0.0872 0.9253
O 0.7046 0.3980 0.8410
O 0.7954 0.8980 0.3410
O 0.8168 0.5872 0.4253
O 0.8980 0.2046 0.6590
O 0.9128 0.6832 0.0747

Output
ΔH_f (0 K) (eV per atom): -2.399
Magnetic moment (μB per formula unit): 0.0
Symmetry: P-4n2
Final energy (eV/f.u.): -77.8

This record from the Materials Project describes a geometry-optimized LuS structure. The functional is PBE.

Lattice parameters (Å, degrees): 3.8074 3.8074 3.8074 60.00 60.00 60.00
Element x y z (fractional)
Lu 0.0000 0.0000 0.0000
S 0.5000 0.5000 0.5000

Output
ΔH_f (0 K) (eV per atom): -2.123
Symmetry: Fm-3m
Final energy (eV/f.u.): -12.4